*w*
Density functional theory data (PBE) for a relaxed NbCr3Cu2S8 crystal.

abc: 7.0077 7.1435 9.9092
angles: 90.00 90.00 90.00
Element x y z (fractional)
Nb  0.0000  0.2334  0.2500
Nb  0.0000  0.7666  0.7500
Cr  0.2402  0.0000  0.5000
Cr  0.2426  0.5000  0.5000
Cr  0.5000  0.2522  0.2500
Cr  0.5000  0.7478  0.7500
Cr  0.7574  0.5000  0.0000
Cr  0.7598  0.0000  0.0000
Cu  0.2689  0.2569  0.8781
Cu  0.2689  0.7431  0.1219
Cu  0.7311  0.2569  0.6219
Cu  0.7311  0.7431  0.3781
S  0.0068  0.2519  0.4993
S  0.0068  0.7481  0.5007
S  0.2530  0.4854  0.2561
S  0.2530  0.5146  0.7439
S  0.2588  0.0052  0.2554
S  0.2588  0.9948  0.7446
S  0.4694  0.2496  0.4899
S  0.4694  0.7504  0.5101
S  0.5306  0.2496  0.0101
S  0.5306  0.7504  0.9899
S  0.7412  0.0052  0.2446
S  0.7412  0.9948  0.7554
S  0.7470  0.4854  0.2439
S  0.7470  0.5146  0.7561
S  0.9932  0.2519  0.0007
S  0.9932  0.7481  0.9993

Results
Its symmetry is No. 17.



*x*
Density functional theory data (PBE) for a relaxed NbCr3Cu2S8 crystal.

abc: 3.4188 11.4422 12.0912
angles: 90.00 90.00 90.00
Element x y z (fractional)
Nb  0.0000  0.1023  0.0000
Nb  0.5000  0.8977  0.5000
Cr  0.0000  0.1413  0.3583
Cr  0.0000  0.6024  0.0828
Cr  0.0000  0.6331  0.7165
Cr  0.5000  0.3669  0.2165
Cr  0.5000  0.3976  0.5828
Cr  0.5000  0.8587  0.8583
Cu  0.0000  0.3777  0.8505
Cu  0.0000  0.8636  0.2164
Cu  0.5000  0.1364  0.7164
Cu  0.5000  0.6223  0.3505
S  0.0000  0.0495  0.5379
S  0.0000  0.2236  0.1695
S  0.0000  0.2801  0.6740
S  0.0000  0.5018  0.2579
S  0.0000  0.5349  0.5396
S  0.0000  0.7182  0.9031
S  0.0000  0.7782  0.4051
S  0.0000  0.9992  0.8092
S  0.5000  0.0008  0.3092
S  0.5000  0.2218  0.9051
S  0.5000  0.2818  0.4031
S  0.5000  0.4651  0.0396
S  0.5000  0.4982  0.7579
S  0.5000  0.7199  0.1740
S  0.5000  0.7764  0.6695
S  0.5000  0.9505  0.0379

Results
Its symmetry is No. 31.



Least stable structure: *x*



*w*
Density functional theory data (PBE) for a relaxed NbCr3Cu2S8 crystal.

abc: 6.9447 6.9447 6.9566
angles: 118.47 118.47 61.57
Element x y z (fractional)
Nb  0.0000  0.0000  0.0000
Cr  0.0298  0.4645  0.0039
Cr  0.0295  0.9705  0.5000
Cr  0.5355  0.9702  0.9961
Cu  0.3870  0.3588  0.6228
Cu  0.6412  0.6130  0.3772
S  0.2507  0.7256  0.2421
S  0.2677  0.2146  0.7600
S  0.2744  0.7493  0.7579
S  0.2841  0.2102  0.2316
S  0.7768  0.2189  0.2576
S  0.7811  0.2232  0.7424
S  0.7854  0.7323  0.2400
S  0.7898  0.7159  0.7684

Results
Its symmetry is No. 5.



*x*
Density functional theory data (PBE) for a relaxed NbCr3Cu2S8 crystal.

abc: 7.0001 11.8589 11.4085
angles: 90.00 90.89 90.00
Element x y z (fractional)
Nb  0.1058  0.0000  0.1247
Nb  0.3873  0.3514  0.5826
Nb  0.6127  0.8514  0.4174
Nb  0.8942  0.5000  0.8753
Cr  0.1092  0.6267  0.6581
Cr  0.1239  0.5042  0.3735
Cr  0.1331  0.1307  0.8499
Cr  0.3689  0.6491  0.1430
Cr  0.3844  0.1481  0.3590
Cr  0.3863  0.8656  0.8865
Cr  0.6137  0.3656  0.1135
Cr  0.6156  0.6481  0.6410
Cr  0.6311  0.1491  0.8570
Cr  0.8669  0.6307  0.1501
Cr  0.8761  0.0042  0.6265
Cr  0.8908  0.1267  0.3419
Cu  0.1228  0.3559  0.0966
Cu  0.1263  0.8571  0.3835
Cu  0.3776  0.9919  0.6250
Cu  0.3864  0.4936  0.8716
Cu  0.6136  0.9936  0.1284
Cu  0.6224  0.4919  0.3750
Cu  0.8737  0.3571  0.6165
Cu  0.8772  0.8559  0.9034
S  0.1113  0.5578  0.0280
S  0.1144  0.3146  0.4651
S  0.1168  0.0425  0.4786
S  0.1230  0.6856  0.2806
S  0.1227  0.9519  0.7646
S  0.1333  0.4458  0.7416
S  0.1388  0.1900  0.2167
S  0.1625  0.8149  0.0327
S  0.3494  0.5562  0.5242
S  0.3742  0.0509  0.9752
S  0.3736  0.6843  0.7858
S  0.3750  0.8099  0.5445
S  0.3759  0.4663  0.2344
S  0.3777  0.9622  0.2751
S  0.3792  0.3211  0.9719
S  0.3802  0.1929  0.7154
S  0.6198  0.6929  0.2846
S  0.6208  0.8211  0.0281
S  0.6223  0.4622  0.7249
S  0.6241  0.9663  0.7656
S  0.6250  0.3099  0.4555
S  0.6264  0.1843  0.2142
S  0.6258  0.5509  0.0248
S  0.6506  0.0562  0.4758
S  0.8375  0.3149  0.9673
S  0.8612  0.6900  0.7833
S  0.8667  0.9458  0.2584
S  0.8770  0.1856  0.7194
S  0.8773  0.4519  0.2354
S  0.8832  0.5425  0.5214
S  0.8856  0.8146  0.5349
S  0.8887  0.0578  0.9720

Results
Its symmetry is No. 4.



*y*
Density functional theory data (PBE) for a relaxed NbCr3Cu2S8 crystal.

abc: 6.0256 6.9467 12.6606
angles: 88.89 79.21 89.73
Element x y z (fractional)
Nb  0.0000  0.0000  0.0000
Nb  0.0858  0.7940  0.5063
Cr  0.0481  0.5246  0.0049
Cr  0.0560  0.2723  0.4964
Cr  0.5504  0.7735  0.0061
Cr  0.5509  0.0271  0.5015
Cr  0.5515  0.5286  0.5031
Cr  0.5574  0.2678  0.0023
Cu  0.1306  0.7686  0.2911
Cu  0.4035  0.7764  0.7884
Cu  0.8580  0.3534  0.2253
Cu  0.9668  0.2774  0.7128
S  0.1716  0.2659  0.1050
S  0.1785  0.7663  0.1136
S  0.2700  0.5232  0.3907
S  0.2782  0.0346  0.3811
S  0.3404  0.2725  0.6058
S  0.3614  0.7757  0.6211
S  0.4165  0.0230  0.8992
S  0.4236  0.5263  0.9023
S  0.6537  0.0164  0.1229
S  0.6739  0.5117  0.1095
S  0.7579  0.2826  0.3979
S  0.7654  0.7816  0.3982
S  0.8357  0.0271  0.6158
S  0.8461  0.5184  0.6085
S  0.9181  0.7633  0.8828
S  0.9264  0.2832  0.8910

Results
Its symmetry is No. 1.



*z*
Density functional theory data (PBE) for a relaxed NbCr3Cu2S8 crystal.

abc: 5.7759 12.1144 8.8895
angles: 90.00 129.47 90.00
Element x y z (fractional)
Nb  0.0000  0.0000  0.0000
Nb  0.0000  0.5000  0.5000
Cr  0.2209  0.2504  0.2296
Cr  0.2209  0.2496  0.7296
Cr  0.5000  0.0000  0.5000
Cr  0.5000  0.5000  0.0000
Cr  0.7791  0.7504  0.2704
Cr  0.7791  0.7496  0.7704
Cu  0.1509  0.5841  0.2607
Cu  0.1509  0.9159  0.7607
Cu  0.8491  0.0841  0.2393
Cu  0.8491  0.4159  0.7393
S  0.0108  0.5878  0.7604
S  0.0108  0.9122  0.2604
S  0.2626  0.6717  0.5211
S  0.2626  0.8283  0.0211
S  0.2720  0.1703  0.4970
S  0.2720  0.3297  0.9970
S  0.4796  0.0882  0.2539
S  0.4796  0.4118  0.7539
S  0.5204  0.5882  0.2461
S  0.5204  0.9118  0.7461
S  0.7280  0.6703  0.0030
S  0.7280  0.8297  0.5030
S  0.7374  0.1717  0.9789
S  0.7374  0.3283  0.4789
S  0.9892  0.0878  0.7396
S  0.9892  0.4122  0.2396

Results
Its symmetry is No. 14.



Least stable structure: *x*



*w*
Density functional theory data (PBE) for a relaxed TaCr3Cu2S8 crystal.

abc: 11.4020 6.9831 12.0073
angles: 90.00 90.00 90.00
Element x y z (fractional)
Ta  0.0966  0.1095  0.0000
Ta  0.4034  0.1095  0.5000
Ta  0.5966  0.8905  0.0000
Ta  0.9034  0.8905  0.5000
Cr  0.1252  0.6296  0.6472
Cr  0.1345  0.8580  0.2912
Cr  0.1537  0.3815  0.2670
Cr  0.3463  0.3815  0.7670
Cr  0.3655  0.8580  0.7912
Cr  0.3748  0.6296  0.1472
Cr  0.6252  0.3704  0.6472
Cr  0.6345  0.1420  0.2912
Cr  0.6537  0.6185  0.2670
Cr  0.8463  0.6185  0.7670
Cr  0.8655  0.1420  0.7912
Cr  0.8748  0.3704  0.1472
Cu  0.1143  0.6218  0.9969
Cu  0.1202  0.1156  0.6357
Cu  0.3798  0.1156  0.1357
Cu  0.3857  0.6218  0.4969
Cu  0.6143  0.3782  0.9969
Cu  0.6202  0.8844  0.6357
Cu  0.8798  0.8844  0.1357
Cu  0.8857  0.3782  0.4969
S  0.0217  0.1402  0.1990
S  0.0231  0.6114  0.1850
S  0.0316  0.1291  0.4567
S  0.0324  0.6314  0.4595
S  0.2183  0.6252  0.8267
S  0.2203  0.1218  0.8391
S  0.2293  0.8779  0.1095
S  0.2456  0.3720  0.0956
S  0.2544  0.3720  0.5956
S  0.2707  0.8779  0.6095
S  0.2797  0.1218  0.3391
S  0.2817  0.6252  0.3267
S  0.4684  0.1291  0.9567
S  0.4676  0.6314  0.9595
S  0.4769  0.6114  0.6850
S  0.4783  0.1402  0.6990
S  0.5217  0.8598  0.1990
S  0.5231  0.3886  0.1850
S  0.5324  0.3686  0.4595
S  0.5316  0.8709  0.4567
S  0.7183  0.3748  0.8267
S  0.7203  0.8782  0.8391
S  0.7293  0.1221  0.1095
S  0.7456  0.6280  0.0956
S  0.7544  0.6280  0.5956
S  0.7707  0.1221  0.6095
S  0.7797  0.8782  0.3391
S  0.7817  0.3748  0.3267
S  0.9676  0.3686  0.9595
S  0.9684  0.8709  0.9567
S  0.9769  0.3886  0.6850
S  0.9783  0.8598  0.6990

Results
Its symmetry is No. 29.



*x*
Density functional theory data (PBE) for a relaxed TaCr3Cu2S8 crystal.

abc: 7.1909 6.4778 12.2805
angles: 90.00 90.00 90.00
Element x y z (fractional)
Ta  0.0000  0.1486  0.0000
Ta  0.5000  0.8514  0.5000
Cr  0.0000  0.3106  0.3069
Cr  0.0000  0.6587  0.3840
Cr  0.0000  0.7731  0.1647
Cr  0.5000  0.2269  0.6647
Cr  0.5000  0.3413  0.8840
Cr  0.5000  0.6894  0.8069
Cu  0.0000  0.0523  0.5197
Cu  0.0000  0.6002  0.8378
Cu  0.5000  0.3998  0.3378
Cu  0.5000  0.9477  0.0197
S  0.0000  0.3976  0.4908
S  0.0000  0.5112  0.0172
S  0.0000  0.9624  0.8430
S  0.0000  0.9775  0.3340
S  0.2216  0.5567  0.2662
S  0.2353  0.0297  0.1107
S  0.2647  0.9703  0.6107
S  0.2784  0.4433  0.7662
S  0.5000  0.0225  0.8340
S  0.5000  0.0376  0.3430
S  0.5000  0.4888  0.5172
S  0.5000  0.6024  0.9908
S  0.7216  0.4433  0.7662
S  0.7353  0.9703  0.6107
S  0.7647  0.0297  0.1107
S  0.7784  0.5567  0.2662

Results
Its symmetry is No. 31.



Least stable structure: *x*



*w*
Density functional theory data (PBE) for a relaxed TaCr3Cu2S8 crystal.

abc: 7.6881 5.8459 12.0707
angles: 90.00 90.00 90.00
Element x y z (fractional)
Ta  0.0000  0.2250  0.0000
Ta  0.5000  0.7750  0.5000
Cr  0.0000  0.1269  0.2287
Cr  0.0000  0.5687  0.8334
Cr  0.0000  0.7341  0.0370
Cr  0.5000  0.2659  0.5370
Cr  0.5000  0.4313  0.3334
Cr  0.5000  0.8731  0.7287
Cu  0.0000  0.1068  0.5729
Cu  0.0000  0.5992  0.3730
Cu  0.5000  0.4008  0.8730
Cu  0.5000  0.8932  0.0729
S  0.0000  0.4413  0.6728
S  0.0000  0.4905  0.1899
S  0.0000  0.9449  0.8620
S  0.0000  0.9818  0.3933
S  0.2072  0.9912  0.1145
S  0.2248  0.4969  0.9451
S  0.2752  0.5031  0.4451
S  0.2928  0.0088  0.6145
S  0.5000  0.0182  0.8933
S  0.5000  0.0551  0.3620
S  0.5000  0.5095  0.6899
S  0.5000  0.5587  0.1728
S  0.7072  0.0088  0.6145
S  0.7248  0.5031  0.4451
S  0.7752  0.4969  0.9451
S  0.7928  0.9912  0.1145

Results
Its symmetry is No. 31.



*x*
Density functional theory data (PBE) for a relaxed TaCr3Cu2S8 crystal.

abc: 3.4219 12.0211 11.3971
angles: 90.00 90.00 90.00
Element x y z (fractional)
Ta  0.0000  0.0396  0.0000
Ta  0.0000  0.9604  0.5000
Cr  0.0000  0.3299  0.5346
Cr  0.0000  0.6701  0.0346
Cr  0.5000  0.1833  0.7610
Cr  0.5000  0.4547  0.2934
Cr  0.5000  0.5453  0.7934
Cr  0.5000  0.8167  0.2610
Cu  0.0000  0.1939  0.2775
Cu  0.0000  0.8061  0.7775
Cu  0.5000  0.3385  0.0277
Cu  0.5000  0.6615  0.5277
S  0.0000  0.1302  0.6188
S  0.0000  0.2283  0.8954
S  0.0000  0.3649  0.1755
S  0.0000  0.4993  0.9315
S  0.0000  0.5007  0.4315
S  0.0000  0.6351  0.6755
S  0.0000  0.7717  0.3954
S  0.0000  0.8698  0.1188
S  0.5000  0.0066  0.3531
S  0.5000  0.1366  0.1144
S  0.5000  0.2814  0.3986
S  0.5000  0.3684  0.6768
S  0.5000  0.6316  0.1768
S  0.5000  0.7186  0.8986
S  0.5000  0.8634  0.6144
S  0.5000  0.9934  0.8531

Results
Its symmetry is No. 26.



Least stable structure: *w*